one.
CsYMg14O16 GGA-PBE relaxed; crystal system = tetragonal; symmetry = P4/mmm, No. 123
1.0
8.8767 0.0000 0.0000
0.0000 8.8767 0.0000
0.0000 0.0000 4.5507
Cs Y Mg O
1 1 14 16
direct
0.0000 0.0000 0.0000 Cs
0.5000 0.5000 0.0000 Y
0.0000 0.2576 0.5000 Mg
0.0000 0.5000 0.0000 Mg
0.0000 0.7424 0.5000 Mg
0.2368 0.5000 0.5000 Mg
0.2459 0.2459 0.0000 Mg
0.2459 0.7541 0.0000 Mg
0.2576 0.0000 0.5000 Mg
0.5000 0.0000 0.0000 Mg
0.5000 0.2368 0.5000 Mg
0.5000 0.7632 0.5000 Mg
0.7424 0.0000 0.5000 Mg
0.7541 0.2459 0.0000 Mg
0.7541 0.7541 0.0000 Mg
0.7632 0.5000 0.5000 Mg
0.0000 0.0000 0.5000 O
0.0000 0.2863 0.0000 O
0.0000 0.5000 0.5000 O
0.0000 0.7137 0.0000 O
0.2479 0.5000 0.0000 O
0.2512 0.2512 0.5000 O
0.2512 0.7488 0.5000 O
0.2863 0.0000 0.0000 O
0.5000 0.0000 0.5000 O
0.5000 0.2479 0.0000 O
0.5000 0.5000 0.5000 O
0.5000 0.7521 0.0000 O
0.7137 0.0000 0.0000 O
0.7488 0.2512 0.5000 O
0.7488 0.7488 0.5000 O
0.7521 0.5000 0.0000 O

***

two.
CsYMg14O16 GGA-PBE relaxed; crystal system = orthorhombic; symmetry = Pmmm, No. 47
1.0
4.5275 0.0000 0.0000
0.0000 8.8074 0.0000
0.0000 0.0000 9.1120
Cs Y Mg O
1 1 14 16
direct
0.0000 0.0000 0.0000 Cs
0.0000 0.0000 0.5000 Y
0.0000 0.2618 0.2453 Mg
0.0000 0.2618 0.7547 Mg
0.0000 0.5000 0.0000 Mg
0.0000 0.5000 0.5000 Mg
0.0000 0.7382 0.2453 Mg
0.0000 0.7382 0.7547 Mg
0.5000 0.0000 0.2450 Mg
0.5000 0.0000 0.7550 Mg
0.5000 0.2626 0.0000 Mg
0.5000 0.2635 0.5000 Mg
0.5000 0.5000 0.2486 Mg
0.5000 0.5000 0.7514 Mg
0.5000 0.7374 0.0000 Mg
0.5000 0.7365 0.5000 Mg
0.0000 0.0000 0.2714 O
0.0000 0.0000 0.7286 O
0.0000 0.2629 0.5000 O
0.0000 0.2876 0.0000 O
0.0000 0.5000 0.2591 O
0.0000 0.5000 0.7409 O
0.0000 0.7124 0.0000 O
0.0000 0.7371 0.5000 O
0.5000 0.0000 0.0000 O
0.5000 0.0000 0.5000 O
0.5000 0.2499 0.2501 O
0.5000 0.2499 0.7499 O
0.5000 0.5000 0.0000 O
0.5000 0.5000 0.5000 O
0.5000 0.7501 0.2501 O
0.5000 0.7501 0.7499 O

***

Which structure is the most stable? The one labeled one.

***

one.
Cs4MgTi2S6 GGA-PBE relaxed; crystal system = triclinic; symmetry = P1, No. 1
1.0
6.7671 0.0000 0.0000
0.4914 6.7723 0.0000
2.5027 -0.1176 8.3961
Cs Mg Ti S
4 1 2 6
direct
0.0000 0.0000 0.0000 Cs
0.1075 0.4407 0.5200 Cs
0.4530 0.5096 0.7693 Cs
0.7388 0.9826 0.6476 Cs
0.0457 0.4882 0.1576 Mg
0.4662 0.9455 0.3113 Ti
0.5981 0.5097 0.1746 Ti
0.2625 0.9314 0.5699 S
0.3229 0.7307 0.1565 S
0.3545 0.2470 0.1412 S
0.6715 0.2430 0.3432 S
0.7510 0.7174 0.3279 S
0.8790 0.4975 0.9347 S

***

two.
Cs4MgTi2S6 GGA-PBE relaxed; crystal system = monoclinic; symmetry = Cm, No. 8
1.0
4.5005 -6.8858 0.0000
4.5005 6.8858 0.0000
-0.6023 0.0000 6.9589
Cs Mg Ti S
4 1 2 6
direct
0.1225 0.4751 0.5137 Cs
0.1525 0.8475 0.0000 Cs
0.4751 0.1225 0.5137 Cs
0.8475 0.1525 0.0000 Cs
0.4341 0.4341 0.2068 Mg
0.5977 0.5977 0.8849 Ti
0.7389 0.7389 0.4552 Ti
0.3369 0.3369 0.8755 S
0.5238 0.7543 0.1863 S
0.5505 0.7980 0.6874 S
0.7543 0.5238 0.1863 S
0.7980 0.5505 0.6874 S
0.9879 0.9879 0.4434 S

***

Which structure is the most stable? The one labeled one.

***

one.
CsMg6Si GGA-PBE relaxed; crystal system = orthorhombic; symmetry = Amm2, No. 38
1.0
4.2444 0.0000 0.0000
0.0000 7.6113 0.0000
0.0000 0.0000 15.1997
Cs Mg Si
2 12 2
direct
0.0000 0.0000 0.0000 Cs
0.0000 0.5000 0.5000 Cs
0.0000 0.0000 0.4835 Mg
0.0000 0.2164 0.2153 Mg
0.0000 0.2836 0.7153 Mg
0.0000 0.5000 0.9835 Mg
0.0000 0.7164 0.7153 Mg
0.0000 0.7836 0.2153 Mg
0.5000 0.0000 0.6539 Mg
0.5000 0.1933 0.3562 Mg
0.5000 0.3067 0.8562 Mg
0.5000 0.5000 0.1539 Mg
0.5000 0.6933 0.8562 Mg
0.5000 0.8067 0.3562 Mg
0.5000 0.0000 0.2009 Si
0.5000 0.5000 0.7009 Si

***

two.
CsMg6Si GGA-PBE relaxed; crystal system = orthorhombic; symmetry = Amm2, No. 38
1.0
4.8342 0.0000 0.0000
0.0000 6.1881 0.0000
0.0000 0.0000 18.2688
Cs Mg Si
2 12 2
direct
0.0000 0.0000 0.0000 Cs
0.0000 0.5000 0.5000 Cs
0.0000 0.2478 0.7327 Mg
0.0000 0.2522 0.2327 Mg
0.0000 0.7478 0.2327 Mg
0.0000 0.7522 0.7327 Mg
0.5000 0.0000 0.1809 Mg
0.5000 0.0000 0.6821 Mg
0.5000 0.2456 0.3424 Mg
0.5000 0.2544 0.8424 Mg
0.5000 0.5000 0.1821 Mg
0.5000 0.5000 0.6809 Mg
0.5000 0.7456 0.8424 Mg
0.5000 0.7544 0.3424 Mg
0.0000 0.0000 0.3552 Si
0.0000 0.5000 0.8552 Si

***

Which structure is the most stable? The one labeled two.

***

one.
CsMg6Sn after structural relaxation, computed with GGA-PBE.

Geometry as POSCAR:
```
CsMg6Sn
1.0
4.9818 0.0000 0.0000
0.0000 7.4213 0.0000
0.0000 0.0000 12.8761
Mg Sn Cs
12 2 2
direct
0.5000 0.2408 0.9180 Mg
0.5000 0.2592 0.4180 Mg
0.0000 0.8011 0.0680 Mg
0.0000 0.5000 0.8294 Mg
0.5000 0.7592 0.9180 Mg
0.0000 0.1989 0.0680 Mg
0.0000 0.0000 0.3294 Mg
0.0000 0.6989 0.5680 Mg
0.5000 0.0000 0.1650 Mg
0.5000 0.5000 0.6650 Mg
0.5000 0.7408 0.4180 Mg
0.0000 0.3011 0.5680 Mg
0.0000 0.5000 0.3645 Sn
0.0000 0.0000 0.8645 Sn
0.5000 0.5000 0.1689 Cs
0.5000 0.0000 0.6689 Cs
```

***

two.
CsMg6Sn after structural relaxation, computed with GGA-PBE.

Geometry as POSCAR:
```
CsMg6Sn
1.0
5.1635 0.0000 0.0000
0.0000 7.8980 0.0000
0.0000 0.0000 11.2810
Mg Cs Sn
12 2 2
direct
0.0000 0.1953 0.9019 Mg
0.5000 0.7035 0.6095 Mg
0.0000 0.6953 0.4019 Mg
0.0000 0.5000 0.1355 Mg
0.5000 0.2965 0.6095 Mg
0.5000 0.7965 0.1095 Mg
0.0000 0.3047 0.4019 Mg
0.5000 0.2035 0.1095 Mg
0.0000 0.0000 0.1539 Mg
0.0000 0.0000 0.6355 Mg
0.0000 0.8047 0.9019 Mg
0.0000 0.5000 0.6539 Mg
0.5000 0.5000 0.8878 Cs
0.5000 0.0000 0.3878 Cs
0.5000 0.0000 0.8001 Sn
0.5000 0.5000 0.3001 Sn
```

***

Which structure is the most stable? The one labeled two.

***

one.
CsMg14Ti GGA-PBE relaxed; crystal system = orthorhombic; symmetry = Amm2, No. 38
1.0
10.6035 0.0000 0.0000
0.0000 3.2866 5.6472
0.0000 -3.2866 5.6472
Cs Mg Ti
1 14 1
direct
0.0000 0.0000 0.0000 Cs
0.0000 0.4974 0.9979 Mg
0.0000 0.9979 0.4974 Mg
0.2433 0.6591 0.6591 Mg
0.2615 0.1746 0.6475 Mg
0.2615 0.6475 0.1746 Mg
0.2687 0.1698 0.1698 Mg
0.5000 0.4967 0.4967 Mg
0.5000 0.4992 0.9926 Mg
0.5000 0.9926 0.4992 Mg
0.5000 0.9949 0.9949 Mg
0.7313 0.1698 0.1698 Mg
0.7385 0.1746 0.6475 Mg
0.7385 0.6475 0.1746 Mg
0.7567 0.6591 0.6591 Mg
0.0000 0.4855 0.4855 Ti

***

two.
CsMg14Ti GGA-PBE relaxed; crystal system = hexagonal; symmetry = P-6m2, No. 187
1.0
6.5537 0.0000 0.0000
-3.2768 5.6757 0.0000
0.0000 0.0000 10.7465
Cs Mg Ti
1 14 1
direct
0.0000 0.0000 0.0000 Cs
0.0088 0.5044 0.0000 Mg
0.1694 0.3389 0.2728 Mg
0.1694 0.3389 0.7272 Mg
0.1694 0.8306 0.2728 Mg
0.1694 0.8306 0.7272 Mg
0.4956 0.5044 0.0000 Mg
0.4956 0.9912 0.0000 Mg
0.5039 0.0079 0.5000 Mg
0.5039 0.4961 0.5000 Mg
0.6611 0.8306 0.2728 Mg
0.6611 0.8306 0.7272 Mg
0.6667 0.3333 0.2441 Mg
0.6667 0.3333 0.7559 Mg
0.9921 0.4961 0.5000 Mg
0.0000 0.0000 0.5000 Ti

***

Which structure is the most stable? The one labeled two.

***

one.
CsMg6Ti GGA-PBE relaxed; crystal system = orthorhombic; symmetry = Amm2, No. 38
1.0
5.4406 0.0000 0.0000
0.0000 6.7566 0.0000
0.0000 0.0000 11.7521
Cs Mg Ti
2 12 2
direct
0.0000 0.0000 0.0000 Cs
0.0000 0.5000 0.5000 Cs
0.0000 0.0000 0.5091 Mg
0.0000 0.2316 0.2522 Mg
0.0000 0.2684 0.7522 Mg
0.0000 0.5000 0.0091 Mg
0.0000 0.7316 0.7522 Mg
0.0000 0.7684 0.2522 Mg
0.5000 0.0000 0.6725 Mg
0.5000 0.2285 0.4180 Mg
0.5000 0.2715 0.9180 Mg
0.5000 0.5000 0.1725 Mg
0.5000 0.7285 0.9180 Mg
0.5000 0.7715 0.4180 Mg
0.5000 0.0000 0.1957 Ti
0.5000 0.5000 0.6957 Ti

***

two.
CsMg6Ti GGA-PBE relaxed; crystal system = tetragonal; symmetry = P4/mmm, No. 123
1.0
8.0034 0.0000 0.0000
0.0000 8.0034 0.0000
0.0000 0.0000 3.4281
Cs Mg Ti
1 6 1
direct
0.0000 0.0000 0.0000 Cs
0.0000 0.5000 0.0000 Mg
0.2922 0.2922 0.5000 Mg
0.2922 0.7078 0.5000 Mg
0.5000 0.0000 0.0000 Mg
0.7078 0.2922 0.5000 Mg
0.7078 0.7078 0.5000 Mg
0.5000 0.5000 0.0000 Ti

***

Which structure is the most stable? The one labeled two.

***

one.
CsMg6V GGA-PBE relaxed; crystal system = orthorhombic; symmetry = Amm2, No. 38
1.0
5.3029 0.0000 0.0000
0.0000 7.8326 0.0000
0.0000 0.0000 10.3838
Cs Mg V
2 12 2
direct
0.0000 0.0000 0.0000 Cs
0.0000 0.5000 0.5000 Cs
0.0000 0.2464 0.2479 Mg
0.0000 0.2536 0.7479 Mg
0.0000 0.7464 0.7479 Mg
0.0000 0.7536 0.2479 Mg
0.5000 0.0000 0.2920 Mg
0.5000 0.0000 0.7782 Mg
0.5000 0.2044 0.5385 Mg
0.5000 0.2956 0.0385 Mg
0.5000 0.5000 0.2782 Mg
0.5000 0.5000 0.7920 Mg
0.5000 0.7044 0.0385 Mg
0.5000 0.7956 0.5385 Mg
0.0000 0.0000 0.5017 V
0.0000 0.5000 0.0017 V

***

two.
CsMg6V after structural relaxation, computed with GGA-PBE.

Geometry as POSCAR:
```
CsMg6V
1.0
5.3322 0.0000 0.0000
0.0000 6.7735 0.0000
0.0000 0.0000 11.9168
Mg V Cs
12 2 2
direct
0.5000 0.0000 0.8334 Mg
0.5000 0.7200 0.0742 Mg
0.0000 0.7335 0.9115 Mg
0.5000 0.7800 0.5742 Mg
0.5000 0.2200 0.5742 Mg
0.5000 0.2800 0.0742 Mg
0.0000 0.7665 0.4115 Mg
0.5000 0.5000 0.3334 Mg
0.0000 0.5000 0.1725 Mg
0.0000 0.2335 0.4115 Mg
0.0000 0.0000 0.6725 Mg
0.0000 0.2665 0.9115 Mg
0.5000 0.0000 0.3610 V
0.5000 0.5000 0.8610 V
0.0000 0.5000 0.6616 Cs
0.0000 0.0000 0.1616 Cs
```

***

Which structure is the most stable? The one labeled one.

***

one.
CsYMg6 after structural relaxation, computed with GGA-PBE.

Geometry as POSCAR:
```
CsYMg6
1.0
-0.2101 -4.1115 3.5840
5.7122 -3.0317 -3.1430
7.2055 6.0013 7.3068
Mg Cs Y
12 2 2
direct
0.5000 0.0000 0.1689 Mg
0.5000 0.5000 0.6689 Mg
0.5000 0.2652 0.4108 Mg
0.0000 0.2172 0.0865 Mg
0.5000 0.7652 0.9108 Mg
0.0000 0.5000 0.8426 Mg
0.5000 0.2348 0.9108 Mg
0.0000 0.7172 0.5865 Mg
0.0000 0.2828 0.5865 Mg
0.5000 0.7348 0.4108 Mg
0.0000 0.7828 0.0865 Mg
0.0000 0.0000 0.3426 Mg
0.5000 0.5000 0.1469 Cs
0.5000 0.0000 0.6469 Cs
0.0000 0.0000 0.8471 Y
0.0000 0.5000 0.3471 Y
```

***

two.
CsYMg6 after structural relaxation, computed with GGA-PBE.

Geometry as POSCAR:
```
CsYMg6
1.0
5.4325 0.0000 0.0000
0.0000 7.3530 0.0000
0.0000 0.0000 11.9082
Mg Cs Y
12 2 2
direct
0.5000 0.0000 0.1424 Mg
0.0000 0.7543 0.5813 Mg
0.5000 0.5000 0.6424 Mg
0.5000 0.5000 0.1636 Mg
0.5000 0.0000 0.6636 Mg
0.0000 0.7457 0.0813 Mg
0.0000 0.2543 0.0813 Mg
0.5000 0.2777 0.4285 Mg
0.0000 0.2457 0.5813 Mg
0.5000 0.7777 0.9285 Mg
0.5000 0.7223 0.4285 Mg
0.5000 0.2223 0.9285 Mg
0.0000 0.5000 0.8332 Cs
0.0000 0.0000 0.3332 Cs
0.0000 0.5000 0.3413 Y
0.0000 0.0000 0.8413 Y
```

***

Which structure is the most stable? The one labeled one.

***

one.
CsMg6Zn GGA-PBE relaxed; crystal system = orthorhombic; symmetry = Amm2, No. 38
1.0
4.2265 0.0000 0.0000
0.0000 8.5599 0.0000
0.0000 0.0000 13.4889
Cs Mg Zn
2 12 2
direct
0.0000 0.0000 0.0000 Cs
0.0000 0.5000 0.5000 Cs
0.0000 0.0000 0.5464 Mg
0.0000 0.2171 0.2400 Mg
0.0000 0.2829 0.7400 Mg
0.0000 0.5000 0.0464 Mg
0.0000 0.7171 0.7400 Mg
0.0000 0.7829 0.2400 Mg
0.5000 0.0000 0.7321 Mg
0.5000 0.1737 0.4032 Mg
0.5000 0.3263 0.9032 Mg
0.5000 0.5000 0.2321 Mg
0.5000 0.6737 0.9032 Mg
0.5000 0.8263 0.4032 Mg
0.5000 0.0000 0.2275 Zn
0.5000 0.5000 0.7275 Zn

***

two.
CsMg6Zn GGA-PBE relaxed; crystal system = orthorhombic; symmetry = Amm2, No. 38
1.0
5.2262 0.0000 0.0000
0.0000 5.9529 0.0000
0.0000 0.0000 18.3923
Cs Mg Zn
2 12 2
direct
0.0000 0.0000 0.0000 Cs
0.0000 0.5000 0.5000 Cs
0.0000 0.2485 0.2248 Mg
0.0000 0.2515 0.7248 Mg
0.0000 0.7485 0.7248 Mg
0.0000 0.7515 0.2248 Mg
0.5000 0.0000 0.1819 Mg
0.5000 0.0000 0.6739 Mg
0.5000 0.2437 0.3336 Mg
0.5000 0.2563 0.8336 Mg
0.5000 0.5000 0.1739 Mg
0.5000 0.5000 0.6819 Mg
0.5000 0.7437 0.8336 Mg
0.5000 0.7563 0.3336 Mg
0.0000 0.0000 0.3546 Zn
0.0000 0.5000 0.8546 Zn

***

Which structure is the most stable? The one labeled two.